Entry 1:
A geometry-optimized TiCrO3 structure, computed with PBE with a Hubbard U.

Summary:
Formation energy from the elements ... -2770 meV per atom
Size of the total moment ... 24.01 μB/cell

Lattice parameters (Å, degrees): 5.2094 5.2325 14.2091 92.13 90.62 119.70
Last column: nearest neighbours and their distance in Å.
Atoms (fractional coordinates):
Ti  0.3407  0.6684  0.1517  4 O 1.91-2.11
Ti  0.0048  0.9922  0.2001  5 O 1.94-2.12
Ti  0.0080  0.0060  0.6999  5 O 1.94-2.08
Ti  0.3122  0.6604  0.3662  3 O 1.81-1.83
Ti  0.6718  0.3484  0.6518  5 O 1.91-2.13
Ti  0.6534  0.3131  0.8665  3 O 1.81-1.84
Cr  0.3306  0.6545  0.8514  5 O 2.04-2.24
Cr  0.0016  0.9948  0.9940  6 O 2.00-2.13
Cr  0.9908  0.0049  0.4939  6 O 2.00-2.13
Cr  0.3422  0.6836  0.6460  5 O 2.06-2.23
Cr  0.6776  0.3343  0.1465  5 O 2.06-2.20
Cr  0.6504  0.3212  0.3521  4 O 2.04-2.14
O  0.9800  0.2969  0.5964  1 Ti 1.93, 2 Cr 2.06-2.09
O  0.9628  0.2938  0.9172  1 Ti 1.81
O  0.3706  0.3417  0.7570  3 Ti 1.97-2.19, 1 Cr 2.17
O  0.7250  0.7051  0.5961  2 Ti 1.95-2.08, 2 Cr 2.08-2.13
O  0.6798  0.6520  0.9190  1 Ti 1.84, 2 Cr 2.00-2.05
O  0.0070  0.6575  0.7475  2 Ti 1.97-2.12
O  0.6654  0.0280  0.7411  2 Ti 1.94-2.13, 1 Cr 2.16
O  0.3035  0.0521  0.5956  2 Ti 1.91-2.08, 1 Cr 2.08
O  0.3380  0.0092  0.9194  1 Ti 1.82, 1 Cr 2.03
O  0.6966  0.9700  0.0967  2 Ti 1.94-2.12, 2 Cr 2.06-2.13
O  0.6464  0.9708  0.4198  1 Ti 1.82, 1 Cr 2.00
O  0.3372  0.9711  0.2590  2 Ti 1.97-2.16, 1 Cr 2.14
O  0.0196  0.3615  0.2429  2 Ti 1.97-2.14, 1 Cr 2.18
O  0.2894  0.3037  0.0963  1 Ti 1.93, 2 Cr 2.06-2.09
O  0.2919  0.3366  0.4157  1 Ti 1.81
O  0.6530  0.6556  0.2447  2 Ti 1.94-2.11
O  0.0005  0.6725  0.4201  1 Ti 1.83, 2 Cr 2.02-2.04
O  0.0487  0.7397  0.0954  2 Ti 1.91-2.04, 1 Cr 2.09

=====

Entry 2:
A geometry-optimized LiNi2OF3 structure, computed with PBE with a Hubbard U.

Summary:
Formation energy from the elements ... -2183 meV per atom
Size of the total moment ... 16.00 μB/cell
ΔE to the lowest computed polymorph ... 0 meV per atom

Lattice parameters (Å, degrees): 7.9856 7.9856 7.9856 136.84 115.40 80.88
Last column: nearest neighbours and their distance in Å.
Atoms (fractional coordinates):
Li  0.5108  0.8648  0.6461  3 F 1.89-1.95, 1 O 1.93
Li  0.7813  0.1352  0.6461  3 F 1.89-1.95, 1 O 1.93
Li  0.7339  0.3708  0.3631  4 F 1.85-1.96
Li  0.9923  0.6292  0.3631  4 F 1.85-1.96
Ni  0.7360  0.7488  0.9872  1 O 1.93, 5 F 2.07-2.10
Ni  0.1310  0.1396  0.5068  3 O 1.96-2.10, 3 F 2.11-2.18
Ni  0.3671  0.8604  0.9914  3 O 1.96-2.10, 3 F 2.11-2.18
Ni  0.9838  0.0000  0.9838  5 F 1.95-2.08, 1 O 2.01
Ni  0.2384  0.2512  0.9872  1 O 1.93, 5 F 2.07-2.10
Ni  0.5193  0.5000  0.0193  5 F 1.96-2.08, 1 O 2.00
Ni  0.1310  0.6242  0.9914  3 O 1.96-2.10, 3 F 2.11-2.18
Ni  0.3671  0.3758  0.5068  3 O 1.96-2.10, 3 F 2.11-2.18
O  0.4920  0.7291  0.7629  1 Li 1.93, 3 Ni 1.93-1.96
O  0.0338  0.2709  0.7629  1 Li 1.93, 3 Ni 1.93-1.96
O  0.2845  0.5000  0.7845  5 Ni 2.00-2.04
O  0.2190  0.0000  0.2190  5 Ni 2.01-2.10
F  0.6292  0.8664  0.2455  1 Li 1.95, 3 Ni 2.07-2.18
F  0.7555  0.0000  0.7555  2 Li 1.89, 1 Ni 1.95
F  0.3790  0.1336  0.7628  1 Li 1.95, 3 Ni 2.07-2.18
F  0.1243  0.8870  0.7590  1 Li 1.92, 3 Ni 2.07-2.15
F  0.6292  0.3837  0.7628  1 Li 1.95, 3 Ni 2.07-2.18
F  0.4705  0.2379  0.2326  1 Li 1.96, 3 Ni 2.10-2.11
F  0.8720  0.1130  0.2373  1 Li 1.92, 3 Ni 2.07-2.15
F  0.1243  0.3652  0.2373  1 Li 1.92, 3 Ni 2.07-2.15
F  0.3790  0.6163  0.2455  1 Li 1.95, 3 Ni 2.07-2.18
F  0.7490  0.5000  0.2490  2 Li 1.85, 1 Ni 1.96
F  0.9946  0.7621  0.2326  1 Li 1.96, 3 Ni 2.10-2.11
F  0.8720  0.6348  0.7590  1 Li 1.92, 3 Ni 2.07-2.15

=====

Entry 3:
A geometry-optimized ZnCrSiO5 structure, computed with PBE with a Hubbard U.

Summary:
Formation energy from the elements ... -2378 meV per atom
Size of the total moment ... 4.00 μB/cell
ΔE to the lowest computed polymorph ... 0 meV per atom

Lattice parameters (Å, degrees): 5.4230 7.0793 8.1332 90.04 40.73 72.28
Last column: nearest neighbours and their distance in Å.
Atoms (fractional coordinates):
Zn  0.4016  0.2397  0.7297  4 O 1.98-2.15
Zn  0.6027  0.7280  0.2583  4 O 1.98-2.17
Cr  0.4978  0.4869  0.9973  6 O 1.86-2.01
Cr  0.4999  0.9863  0.9946  6 O 1.87-2.00
Si  0.5424  0.2297  0.3203  4 O 1.64-1.67
Si  0.4539  0.7416  0.6721  4 O 1.64-1.67
O  0.5192  0.0397  0.2253  1 Si 1.64
O  0.6626  0.3872  0.1472  1 Si 1.64
O  0.4799  0.9320  0.7644  1 Si 1.64
O  0.3296  0.5871  0.8492  1 Si 1.64
O  0.8916  0.6062  0.3404  1 Si 1.65
O  0.1219  0.8352  0.6802  1 Si 1.67
O  0.1066  0.3620  0.6530  1 Si 1.66
O  0.8779  0.1344  0.3095  1 Si 1.67
O  0.4902  0.7374  0.0755  2 Cr 1.86-1.88, 1 Zn 1.98
O  0.5089  0.2337  0.9151  2 Cr 1.87-1.88, 1 Zn 1.98

=====

Entry 4:
A geometry-optimized MgVFeP4O14 structure, computed with PBE with a Hubbard U.

Summary:
Formation energy from the elements ... -2634 meV per atom
Size of the total moment ... 7.00 μB/cell
ΔE to the lowest computed polymorph ... 6 meV per atom

Lattice parameters (Å, degrees): 4.9995 8.2119 7.2423 85.26 114.50 92.57
Last column: nearest neighbours and their distance in Å.
Atoms (fractional coordinates):
Mg  0.4986  0.8724  0.8032  3 O 2.02-2.12
V  0.2273  0.4905  0.7253  6 O 1.99-2.12
Fe  0.7646  0.0361  0.3062  5 O 1.92-2.08
P  0.3998  0.1823  0.5316  4 O 1.50-1.65
P  0.2105  0.7857  0.0547  4 O 1.50-1.60
P  0.8239  0.2749  0.9342  4 O 1.52-1.67
P  0.6033  0.6830  0.4797  4 O 1.51-1.61
O  0.0819  0.3213  0.8813  1 P 1.52
O  0.2291  0.6983  0.8810  1 P 1.54
O  0.2034  0.0262  0.5128  1 P 1.56
O  0.2521  0.3408  0.5200  1 P 1.50
O  0.4423  0.6767  0.6220  1 P 1.55
O  0.6286  0.4176  0.9141  1 P 1.52
O  0.6301  0.1379  0.7698  2 P 1.65-1.67
O  0.3505  0.6642  0.2552  2 P 1.60-1.61
O  0.4202  0.9371  0.0743  1 P 1.57
O  0.5745  0.1869  0.4011  1 P 1.53
O  0.7383  0.8545  0.4869  1 P 1.53
O  0.8191  0.5470  0.5218  1 P 1.51
O  0.9065  0.1724  0.1349  1 P 1.52
O  0.9036  0.8273  0.0230  1 P 1.50

=====

Entry 5:
A geometry-optimized Li2MgCo3O8 structure, computed with PBE with a Hubbard U.

Summary:
Formation energy from the elements ... -1687 meV per atom
Size of the total moment ... 0.01 μB/cell
ΔE to the lowest computed polymorph ... 0 meV per atom

Lattice parameters (Å, degrees): 5.7347 8.2649 5.8554 92.25 90.86 89.46
Last column: nearest neighbours and their distance in Å.
Atoms (fractional coordinates):
Li  0.7501  0.7495  0.2498  6 O 2.14-2.25
Li  0.2498  0.2505  0.7501  6 O 2.14-2.25
Li  0.5000  0.0000  0.5000  6 O 2.08-2.12
Li  0.0001  0.5000  0.0000  6 O 2.08-2.12
Mg  0.0000  0.0000  0.0000  6 O 2.03-2.04
Mg  0.5000  0.5000  0.5000  6 O 2.03-2.04
Co  0.2501  0.2501  0.2499  6 O 1.87-1.93
Co  0.7499  0.7499  0.7501  6 O 1.87-1.93
Co  0.5000  0.0000  0.0000  6 O 1.87-1.93
Co  0.7501  0.2501  0.2499  6 O 1.90-1.95
Co  0.2499  0.7499  0.7501  6 O 1.90-1.95
Co  0.0000  0.5000  0.5000  6 O 1.87-1.93
O  0.0056  0.2668  0.4719  3 Co 1.93-1.95, 1 Li 2.14
O  0.5057  0.7668  0.9721  3 Co 1.93-1.95, 1 Li 2.14
O  0.4943  0.2332  0.0279  3 Co 1.93-1.95, 1 Li 2.14
O  0.9944  0.7332  0.5281  3 Co 1.93-1.95, 1 Li 2.14
O  0.7724  0.5239  0.7235  2 Co 1.87, 1 Mg 2.03, 1 Li 2.08
O  0.2718  0.0242  0.2241  2 Co 1.87, 1 Mg 2.03, 1 Li 2.08
O  0.7282  0.9758  0.7760  2 Co 1.87, 1 Mg 2.03, 1 Li 2.08
O  0.2276  0.4761  0.2765  2 Co 1.87, 1 Mg 2.03, 1 Li 2.08
O  0.2337  0.5198  0.7265  2 Co 1.88-1.90, 1 Mg 2.04
O  0.7331  0.0199  0.2258  2 Co 1.87-1.91, 1 Mg 2.04
O  0.9994  0.7537  0.9599  2 Co 1.87-1.90, 1 Mg 2.04
O  0.4997  0.2537  0.4597  2 Co 1.87-1.90, 1 Mg 2.04
O  0.5003  0.7463  0.5403  2 Co 1.87-1.90, 1 Mg 2.04
O  0.0006  0.2464  0.0401  2 Co 1.87-1.90, 1 Mg 2.04
O  0.2669  0.9801  0.7741  2 Co 1.87-1.91, 1 Mg 2.04
O  0.7663  0.4802  0.2735  2 Co 1.88-1.90, 1 Mg 2.04

=====

Entry 6:
A geometry-optimized LiV4O8 structure, computed with PBE with a Hubbard U.

Summary:
Formation energy from the elements ... -2423 meV per atom
Size of the total moment ... 5.00 μB/cell
ΔE to the lowest computed polymorph ... 20 meV per atom

Lattice parameters (Å, degrees): 5.1557 5.1595 6.3337 89.98 90.02 67.28
Last column: nearest neighbours and their distance in Å.
Atoms (fractional coordinates):
Li  0.6661  0.6757  0.2500  3 O 1.94-2.15
V  0.9963  0.9969  0.9929  6 O 1.95-2.17
V  0.9964  0.9968  0.5071  6 O 1.95-2.17
V  0.3503  0.3515  0.2500  4 O 1.69-1.82
V  0.6433  0.6432  0.7500  4 O 1.80-1.84
O  0.2318  0.2315  0.0374  1 V 1.69
O  0.2318  0.2315  0.4627  1 V 1.69
O  0.2299  0.7325  0.2500  1 V 1.82
O  0.2564  0.7880  0.7500  3 V 1.84-2.05
O  0.7313  0.2299  0.2500  1 V 1.82
O  0.7880  0.2565  0.7500  3 V 1.84-2.05
O  0.7702  0.7707  0.9752  2 V 1.80-1.95, 1 Li 1.94
O  0.7706  0.7703  0.5248  2 V 1.80-1.95, 1 Li 1.94

=====

Entry 7:
A geometry-optimized CoAgO2 structure, computed with PBE with a Hubbard U.

Summary:
Formation energy from the elements ... -377 meV per atom
Size of the total moment ... 3.11 μB/cell

Lattice parameters (Å, degrees): 3.4373 3.4373 11.5245 90.00 90.00 120.00
Last column: nearest neighbours and their distance in Å.
Atoms (fractional coordinates):
Co  0.3333  0.6667  0.7500  2 O 1.75
Co  0.6667  0.3333  0.2500  2 O 1.75
Ag  0.0000  0.0000  0.5000  6 O 2.28
Ag  0.0000  0.0000  0.0000  6 O 2.28
O  0.3333  0.6667  0.5981  1 Co 1.75
O  0.6667  0.3333  0.4019  1 Co 1.75
O  0.6667  0.3333  0.0981  1 Co 1.75
O  0.3333  0.6667  0.9019  1 Co 1.75

=====

Entry 8:
A geometry-optimized Rb2MnV2O7 structure, computed with PBE with a Hubbard U.

Summary:
Formation energy from the elements ... -2389 meV per atom
Size of the total moment ... 20.00 μB/cell

Lattice parameters (Å, degrees): 8.7582 8.7582 12.0591 90.00 90.00 90.00
Last column: nearest neighbours and their distance in Å.
Atoms (fractional coordinates):
Rb  0.1506  0.8494  0.5000  8 O 3.04-3.09
Rb  0.6506  0.6506  0.0000  8 O 3.04-3.09
Rb  0.3494  0.3494  0.0000  8 O 3.04-3.09
Rb  0.8494  0.1506  0.5000  8 O 3.04-3.09
Rb  0.6796  0.6796  0.5000  4 O 2.83-2.97
Rb  0.8204  0.1796  0.0000  4 O 2.83-2.97
Rb  0.1796  0.8204  0.0000  4 O 2.83-2.97
Rb  0.3204  0.3204  0.5000  4 O 2.83-2.97
Mn  0.0000  0.5000  0.7500  4 O 2.07
Mn  0.0000  0.5000  0.2500  4 O 2.07
Mn  0.5000  0.0000  0.7500  4 O 2.07
Mn  0.5000  0.0000  0.2500  4 O 2.07
V  0.6391  0.3609  0.7161  4 O 1.68-1.84
V  0.3609  0.6391  0.7161  4 O 1.68-1.84
V  0.3609  0.6391  0.2839  4 O 1.68-1.84
V  0.8609  0.8609  0.2161  4 O 1.68-1.84
V  0.1391  0.1391  0.2161  4 O 1.68-1.84
V  0.8609  0.8609  0.7839  4 O 1.68-1.84
V  0.1391  0.1391  0.7839  4 O 1.68-1.84
V  0.6391  0.3609  0.2839  4 O 1.68-1.84
O  0.6402  0.3598  0.8555  1 V 1.68
O  0.3598  0.6402  0.8555  1 V 1.68
O  0.3598  0.6402  0.1445  1 V 1.68
O  0.8598  0.8598  0.3555  1 V 1.68
O  0.1402  0.1402  0.3555  1 V 1.68
O  0.8598  0.8598  0.6445  1 V 1.68
O  0.1402  0.1402  0.6445  1 V 1.68
O  0.6402  0.3598  0.1445  1 V 1.68
O  0.5000  0.5000  0.6636  2 V 1.84
O  0.0000  0.0000  0.1636  2 V 1.84
O  0.0000  0.0000  0.8364  2 V 1.84
O  0.5000  0.5000  0.3364  2 V 1.84
O  0.1835  0.5867  0.3375  1 V 1.74
O  0.8165  0.4133  0.3375  1 V 1.74
O  0.5867  0.1835  0.6625  1 V 1.74
O  0.0867  0.3165  0.8375  1 V 1.74
O  0.9133  0.6835  0.8375  1 V 1.74
O  0.3165  0.0867  0.1625  1 V 1.74
O  0.6835  0.9133  0.1625  1 V 1.74
O  0.4133  0.8165  0.6625  1 V 1.74
O  0.5867  0.1835  0.3375  1 V 1.74
O  0.3165  0.0867  0.8375  1 V 1.74
O  0.6835  0.9133  0.8375  1 V 1.74
O  0.0867  0.3165  0.1625  1 V 1.74
O  0.9133  0.6835  0.1625  1 V 1.74
O  0.4133  0.8165  0.3375  1 V 1.74
O  0.1835  0.5867  0.6625  1 V 1.74
O  0.8165  0.4133  0.6625  1 V 1.74